No. 1
Computed, not measured: a relaxed TiO crystal at the PBE-GGA level of DFT.

The structure in CIF format:
```
data_TiO
_cell_length_a 10.428
_cell_length_b 10.724
_cell_length_c 10.799
_cell_angle_alpha 89.85
_cell_angle_beta 86.45
_cell_angle_gamma 89.94
_symmetry_space_group_name_H-M 'P 1'
_symmetry_Int_Tables_number 1
loop_
_symmetry_equiv_pos_as_xyz
'x,y,z'
loop_
_atom_site_label
_atom_site_type_symbol
_atom_site_fract_x
_atom_site_fract_y
_atom_site_fract_z
Ti1 Ti 0.000 0.000 0.000
Ti2 Ti 0.003 0.972 0.555
Ti3 Ti 0.038 0.233 0.620
Ti4 Ti 0.043 0.640 0.412
Ti5 Ti 0.104 0.440 0.004
Ti6 Ti 0.115 0.203 0.159
Ti7 Ti 0.152 0.852 0.327
Ti8 Ti 0.165 0.712 0.608
Ti9 Ti 0.167 0.148 0.396
Ti10 Ti 0.175 0.403 0.410
Ti11 Ti 0.177 0.880 0.791
Ti12 Ti 0.214 0.638 0.887
Ti13 Ti 0.235 0.658 0.158
Ti14 Ti 0.244 0.105 0.853
Ti15 Ti 0.253 0.071 0.613
Ti16 Ti 0.300 0.013 0.183
Ti17 Ti 0.321 0.410 0.185
Ti18 Ti 0.349 0.618 0.384
Ti19 Ti 0.362 0.891 0.446
Ti20 Ti 0.379 0.205 0.026
Ti21 Ti 0.432 0.173 0.329
Ti22 Ti 0.433 0.771 0.812
Ti23 Ti 0.462 0.570 0.012
Ti24 Ti 0.467 0.399 0.461
Ti25 Ti 0.492 0.846 0.079
Ti26 Ti 0.504 0.026 0.850
Ti27 Ti 0.543 0.269 0.717
Ti28 Ti 0.551 0.041 0.576
Ti29 Ti 0.575 0.532 0.763
Ti30 Ti 0.588 0.750 0.590
Ti31 Ti 0.612 0.620 0.227
Ti32 Ti 0.617 0.358 0.954
Ti33 Ti 0.640 0.008 0.297
Ti34 Ti 0.654 0.320 0.250
Ti35 Ti 0.672 0.065 0.031
Ti36 Ti 0.694 0.807 0.881
Ti37 Ti 0.695 0.233 0.480
Ti38 Ti 0.749 0.595 0.992
Ti39 Ti 0.763 0.841 0.127
Ti40 Ti 0.787 0.008 0.763
Ti41 Ti 0.809 0.841 0.443
Ti42 Ti 0.827 0.300 0.785
Ti43 Ti 0.838 0.490 0.552
Ti44 Ti 0.869 0.730 0.654
Ti45 Ti 0.901 0.268 0.059
Ti46 Ti 0.921 0.027 0.263
Ti47 Ti 0.930 0.280 0.350
Ti48 Ti 0.959 0.527 0.811
Ti49 Ti 0.978 0.500 0.206
Ti50 Ti 0.994 0.712 0.060
O1 O 0.036 0.832 0.683
O2 O 0.052 0.685 0.229
O3 O 0.102 0.796 0.938
O4 O 0.115 0.028 0.253
O5 O 0.126 0.593 0.744
O6 O 0.173 0.204 0.723
O7 O 0.177 0.967 0.471
O8 O 0.199 0.562 0.497
O9 O 0.202 0.079 0.034
O10 O 0.225 0.316 0.054
O11 O 0.288 0.830 0.164
O12 O 0.289 0.866 0.634
O13 O 0.304 0.278 0.450
O14 O 0.339 0.932 0.863
O15 O 0.400 0.591 0.841
O16 O 0.401 0.067 0.489
O17 O 0.406 0.121 0.717
O18 O 0.408 0.590 0.202
O19 O 0.444 0.384 0.030
O20 O 0.449 0.735 0.477
O21 O 0.452 0.983 0.283
O22 O 0.468 0.027 0.042
O23 O 0.469 0.348 0.275
O24 O 0.481 0.419 0.642
O25 O 0.527 0.208 0.899
O26 O 0.558 0.540 0.381
O27 O 0.567 0.882 0.720
O28 O 0.592 0.800 0.221
O29 O 0.603 0.162 0.182
O30 O 0.632 0.914 0.463
O31 O 0.641 0.478 0.111
O32 O 0.647 0.106 0.716
O33 O 0.696 0.604 0.631
O34 O 0.722 0.326 0.632
O35 O 0.747 0.467 0.849
O36 O 0.763 0.218 0.950
O37 O 0.782 0.135 0.345
O38 O 0.792 0.662 0.181
O39 O 0.823 0.920 0.607
O40 O 0.824 0.957 0.938
O41 O 0.837 0.361 0.208
O42 O 0.850 0.687 0.833
O43 O 0.859 0.666 0.463
O44 O 0.912 0.138 0.721
O45 O 0.930 0.543 0.022
O46 O 0.950 0.885 0.135
O47 O 0.954 0.403 0.663
O48 O 0.974 0.348 0.899
O49 O 0.976 0.134 0.472
O50 O 0.978 0.456 0.398
```

Computed properties:
E_form = -2.60 eV per atom
DFT total energy = -0.6376 Ry/atom
Spin magnetization = 0.08 μB/f.u.
Volume = 1205.34 Å³/cell

No. 2
Computed, not measured: a relaxed Ti2O3 crystal at the PBE-GGA level of DFT.

The structure in CIF format:
```
data_Ti2O3
_cell_length_a 5.1128
_cell_length_b 5.1128
_cell_length_c 13.9838
_cell_angle_alpha 90.00
_cell_angle_beta 90.00
_cell_angle_gamma 120.00
_symmetry_space_group_name_H-M 'R -3 c'
_symmetry_Int_Tables_number 167
_symmetry_space_group_name_Hall '-R 3 2"c'
loop_
_atom_site_label
_atom_site_type_symbol
_atom_site_fract_x
_atom_site_fract_y
_atom_site_fract_z
Ti1 Ti 0.0000 0.0000 0.1545
O1 O 0.0000 0.3123 0.2500
```

Computed properties:
E_form = -3.30 eV per atom
DFT total energy = -0.6628 Ry/atom
Volume = 316.57 Å³/cell

No. 3
Computed, not measured: a relaxed TiO2 crystal at the PBE-GGA level of DFT.

The structure in CIF format:
```
data_TiO2
_cell_length_a 17.738
_cell_length_b 2.982
_cell_length_c 10.796
_cell_angle_alpha 90.00
_cell_angle_beta 90.00
_cell_angle_gamma 90.00
_symmetry_space_group_name_H-M 'P n m a'
_symmetry_Int_Tables_number 62
loop_
_symmetry_equiv_pos_as_xyz
'x,y,z'
'-x,-y,-z'
'-x+1/2,-y,z+1/2'
'x+1/2,y,-z+1/2'
'x+1/2,-y+1/2,-z+1/2'
'-x+1/2,y+1/2,z+1/2'
'-x,y+1/2,-z'
'x,-y+1/2,z'
loop_
_atom_site_label
_atom_site_type_symbol
_atom_site_fract_x
_atom_site_fract_y
_atom_site_fract_z
Ti1 Ti 0.077 0.250 0.195
Ti2 Ti 0.101 0.250 0.718
Ti3 Ti 0.145 0.750 0.477
Ti4 Ti 0.172 0.750 0.997
O1 O 0.025 0.750 0.748
O2 O 0.065 0.750 0.085
O3 O 0.084 0.250 0.527
O4 O 0.110 0.750 0.312
O5 O 0.141 0.250 0.882
O6 O 0.162 0.750 0.669
O7 O 0.181 0.250 0.110
O8 O 0.223 0.250 0.458
```

Computed properties:
E_form = -3.43 eV per atom
DFT total energy = -0.6546 Ry/atom
Volume = 571.01 Å³/cell

No. 4
Computed, not measured: a relaxed Ti9O10 crystal at the PBE-GGA level of DFT.

The structure in CIF format:
```
data_Ti9O10
_cell_length_a 4.504
_cell_length_b 5.526
_cell_length_c 8.951
_cell_angle_alpha 99.31
_cell_angle_beta 90.55
_cell_angle_gamma 111.38
_symmetry_space_group_name_H-M 'P -1'
_symmetry_Int_Tables_number 2
loop_
_symmetry_equiv_pos_as_xyz
'x,y,z'
'-x,-y,-z'
loop_
_atom_site_label
_atom_site_type_symbol
_atom_site_fract_x
_atom_site_fract_y
_atom_site_fract_z
Ti1 Ti 0.000 0.000 0.000
Ti2 Ti 0.082 0.167 0.658
Ti3 Ti 0.196 0.533 0.104
Ti4 Ti 0.269 0.514 0.411
Ti5 Ti 0.370 0.793 0.729
O1 O 0.115 0.798 0.544
O2 O 0.200 0.306 0.891
O3 O 0.221 0.229 0.213
O4 O 0.255 0.775 0.940
O5 O 0.401 0.821 0.294
```

Computed properties:
E_form = -2.82 eV per atom
DFT total energy = -0.6467 Ry/atom
E above lowest polymorph = 0 kJ/mol of formula units
Spin magnetization = 0.00 μB/f.u.
Volume = 204.16 Å³/cell

No. 5
Computed, not measured: a relaxed TiO2 crystal at the PBE-GGA level of DFT.

The structure in CIF format:
```
data_TiO2
_cell_length_a 9.596
_cell_length_b 3.017
_cell_length_c 11.048
_cell_angle_alpha 90.00
_cell_angle_beta 90.00
_cell_angle_gamma 90.00
_symmetry_space_group_name_H-M 'P n m a'
_symmetry_Int_Tables_number 62
loop_
_symmetry_equiv_pos_as_xyz
'x,y,z'
'-x,-y,-z'
'-x+1/2,-y,z+1/2'
'x+1/2,y,-z+1/2'
'x+1/2,-y+1/2,-z+1/2'
'-x+1/2,y+1/2,z+1/2'
'-x,y+1/2,-z'
'x,-y+1/2,z'
loop_
_atom_site_label
_atom_site_type_symbol
_atom_site_fract_x
_atom_site_fract_y
_atom_site_fract_z
Ti1 Ti 0.018 0.250 0.132
Ti2 Ti 0.236 0.750 0.345
O1 O 0.095 0.250 0.956
O2 O 0.125 0.750 0.189
O3 O 0.133 0.750 0.769
O4 O 0.151 0.250 0.406
```

Computed properties:
E_form = -3.41 eV per atom
DFT total energy = -0.6529 Ry/atom
Spin magnetization = 0.00 μB/f.u.
Volume = 319.84 Å³/cell

No. 6
Computed, not measured: a relaxed Ti3O5 crystal at the PBE-GGA level of DFT.

The structure in CIF format:
```
data_Ti3O5
_cell_length_a 10.586
_cell_length_b 10.963
_cell_length_c 11.005
_cell_angle_alpha 91.95
_cell_angle_beta 90.74
_cell_angle_gamma 90.56
_symmetry_space_group_name_H-M 'P 1'
_symmetry_Int_Tables_number 1
loop_
_symmetry_equiv_pos_as_xyz
'x,y,z'
loop_
_atom_site_label
_atom_site_type_symbol
_atom_site_fract_x
_atom_site_fract_y
_atom_site_fract_z
Ti1 Ti 0.000 0.000 0.000
Ti2 Ti 0.001 0.230 0.233
Ti3 Ti 0.011 0.943 0.289
Ti4 Ti 0.066 0.743 0.042
Ti5 Ti 0.111 0.607 0.796
Ti6 Ti 0.146 0.704 0.356
Ti7 Ti 0.147 0.125 0.721
Ti8 Ti 0.149 0.439 0.063
Ti9 Ti 0.194 0.169 0.469
Ti10 Ti 0.195 0.420 0.525
Ti11 Ti 0.206 0.875 0.634
Ti12 Ti 0.235 0.214 0.081
Ti13 Ti 0.316 0.919 0.938
Ti14 Ti 0.345 0.381 0.750
Ti15 Ti 0.353 0.904 0.351
Ti16 Ti 0.368 0.617 0.015
Ti17 Ti 0.428 0.657 0.497
Ti18 Ti 0.434 0.254 0.340
Ti19 Ti 0.466 0.084 0.536
Ti20 Ti 0.491 0.886 0.674
Ti21 Ti 0.493 0.429 0.153
Ti22 Ti 0.514 0.070 0.129
Ti23 Ti 0.544 0.689 0.812
Ti24 Ti 0.552 0.414 0.503
Ti25 Ti 0.554 0.781 0.112
Ti26 Ti 0.577 0.166 0.828
Ti27 Ti 0.581 0.422 0.855
Ti28 Ti 0.676 0.901 0.889
Ti29 Ti 0.731 0.692 0.385
Ti30 Ti 0.753 0.974 0.586
Ti31 Ti 0.756 0.258 0.012
Ti32 Ti 0.765 0.155 0.328
Ti33 Ti 0.815 0.523 0.679
Ti34 Ti 0.874 0.278 0.561
Ti35 Ti 0.899 0.066 0.790
Ti36 Ti 0.902 0.733 0.860
Ti37 Ti 0.911 0.567 0.150
Ti38 Ti 0.943 0.474 0.433
Ti39 Ti 0.957 0.784 0.566
O1 O 0.024 0.382 0.568
O2 O 0.043 0.756 0.735
O3 O 0.066 0.121 0.357
O4 O 0.073 0.073 0.863
O5 O 0.074 0.632 0.188
O6 O 0.081 0.114 0.115
O7 O 0.114 0.533 0.406
O8 O 0.140 0.331 0.192
O9 O 0.144 0.744 0.531
O10 O 0.147 0.879 0.974
O11 O 0.151 0.028 0.575
O12 O 0.177 0.608 0.960
O13 O 0.188 0.893 0.293
O14 O 0.193 0.315 0.949
O15 O 0.217 0.502 0.703
O16 O 0.249 0.258 0.642
O17 O 0.258 0.966 0.777
O18 O 0.280 0.315 0.402
O19 O 0.319 0.482 0.116
O20 O 0.334 0.720 0.363
O21 O 0.344 0.088 0.393
O22 O 0.348 0.060 0.031
O23 O 0.360 0.900 0.538
O24 O 0.368 0.789 0.050
O25 O 0.376 0.503 0.503
O26 O 0.401 0.256 0.157
O27 O 0.431 0.711 0.663
O28 O 0.434 0.542 0.874
O29 O 0.449 0.285 0.860
O30 O 0.469 0.922 0.231
O31 O 0.470 0.075 0.708
O32 O 0.470 0.867 0.851
O33 O 0.497 0.408 0.677
O34 O 0.511 0.607 0.130
O35 O 0.533 0.238 0.501
O36 O 0.536 0.410 0.318
O37 O 0.582 0.956 0.524
O38 O 0.594 0.146 0.270
O39 O 0.597 0.615 0.468
O40 O 0.610 0.156 0.003
O41 O 0.612 0.942 0.053
O42 O 0.623 0.402 0.037
O43 O 0.648 0.740 0.959
O44 O 0.658 0.819 0.726
O45 O 0.666 0.755 0.254
O46 O 0.674 0.559 0.777
O47 O 0.708 0.294 0.833
O48 O 0.714 0.052 0.757
O49 O 0.737 0.400 0.560
O50 O 0.781 0.124 0.509
O51 O 0.783 0.821 0.495
O52 O 0.826 0.232 0.174
O53 O 0.835 0.564 0.308
O54 O 0.846 0.018 0.294
O55 O 0.861 0.907 0.899
O56 O 0.868 0.137 0.955
O57 O 0.886 0.609 0.545
O58 O 0.891 0.671 0.022
O59 O 0.892 0.298 0.382
O60 O 0.917 0.937 0.656
O61 O 0.945 0.550 0.799
O62 O 0.953 0.428 0.074
O63 O 0.972 0.186 0.685
O64 O 0.981 0.882 0.135
O65 O 0.985 0.802 0.380
```

Computed properties:
E_form = -3.19 eV per atom
DFT total energy = -0.6475 Ry/atom
E above lowest polymorph = 150 kJ/mol of formula units
Spin magnetization = 0.31 μB/f.u.
Volume = 1276.22 Å³/cell

Q: DFT total energy of number 1 (TiO)?
A: -0.6376 Ry/atom

Copy entry 2 word for word.
Computed, not measured: a relaxed Ti2O3 crystal at the PBE-GGA level of DFT.

The structure in CIF format:
```
data_Ti2O3
_cell_length_a 5.1128
_cell_length_b 5.1128
_cell_length_c 13.9838
_cell_angle_alpha 90.00
_cell_angle_beta 90.00
_cell_angle_gamma 120.00
_symmetry_space_group_name_H-M 'R -3 c'
_symmetry_Int_Tables_number 167
_symmetry_space_group_name_Hall '-R 3 2"c'
loop_
_atom_site_label
_atom_site_type_symbol
_atom_site_fract_x
_atom_site_fract_y
_atom_site_fract_z
Ti1 Ti 0.0000 0.0000 0.1545
O1 O 0.0000 0.3123 0.2500
```

Computed properties:
E_form = -3.30 eV per atom
DFT total energy = -0.6628 Ry/atom
Volume = 316.57 Å³/cell